Compound: Pr5As2ClO10
Source: the Materials Project
Functional: PBE
Structure: optimized geometry

Values from the calculation:
Total DFT energy (no corrections), eV per atom: -7.490
DFT formation energy, eV per formula unit: -57.133

a b c (Å): 12.635 5.783 9.217
angles (deg): 90.00 116.53 90.00
Space group C2/m (No. 12)
Asymmetric unit:
Pr 0.000 0.000 0.000 [2 per cell]
Pr 0.000 0.500 0.292 [4 per cell]
Pr 0.248 0.500 0.129 [4 per cell]
As 0.215 0.000 0.391 [4 per cell]
Cl 0.000 0.000 0.500 [2 per cell]
O 0.120 0.254 0.916 [8 per cell]
O 0.141 0.500 0.603 [4 per cell]
O 0.142 0.235 0.246 [8 per cell]

Compound: Sr5As3ClO12
Source: the Materials Project
Functional: PBE
Structure: optimized geometry

Values from the calculation:
Total DFT energy (no corrections), eV per atom: -6.321
DFT formation energy, eV per formula unit: -57.337

a b c (Å): 10.4551 10.4551 7.3007
angles (deg): 90.00 90.00 120.00
Space group P6_3/m (No. 176)
Asymmetric unit:
Sr 0.0097 0.7531 0.2500 [6 per cell]
Sr 0.3333 0.6667 0.5024 [4 per cell]
As 0.0309 0.4080 0.2500 [6 per cell]
Cl 0.0000 0.0000 0.0000 [2 per cell]
O 0.0913 0.3533 0.0621 [12 per cell]
O 0.1295 0.5995 0.2500 [6 per cell]
O 0.1564 0.6612 0.7500 [6 per cell]

Compound: SbAsPCl13
Source: the Materials Project
Functional: PBE
Structure: optimized geometry

Values from the calculation:
Total DFT energy (no corrections), eV per atom: -3.082
DFT formation energy, eV per formula unit: -19.064

a b c (Å): 10.533 16.625 12.180
angles (deg): 90.00 90.00 90.00
Space group Cmc2_1 (No. 36)
Asymmetric unit:
Sb 0.000 0.207 0.000 [4 per cell]
As 0.000 0.451 0.151 [4 per cell]
P 0.000 0.140 0.462 [4 per cell]
Cl 0.000 0.088 0.115 [4 per cell]
Cl 0.000 0.136 0.622 [4 per cell]
Cl 0.000 0.253 0.415 [4 per cell]
Cl 0.000 0.327 0.889 [4 per cell]
Cl 0.000 0.447 0.334 [4 per cell]
Cl 0.152 0.087 0.405 [8 per cell]
Cl 0.160 0.465 0.628 [8 per cell]
Cl 0.162 0.148 0.885 [8 per cell]
Cl 0.163 0.265 0.117 [8 per cell]

Compound: TaAsPCl13
Source: the Materials Project
Functional: PBE
Structure: optimized geometry

Values from the calculation:
Total DFT energy (no corrections), eV per atom: -3.812
DFT formation energy, eV per formula unit: -23.009

a b c (Å): 10.415 16.326 12.089
angles (deg): 90.00 90.00 90.00
Space group Cmc2_1 (No. 36)
Asymmetric unit:
Ta 0.000 0.204 0.000 [4 per cell]
As 0.000 0.454 0.151 [4 per cell]
P 0.000 0.142 0.464 [4 per cell]
Cl 0.000 0.085 0.115 [4 per cell]
Cl 0.000 0.139 0.626 [4 per cell]
Cl 0.000 0.257 0.416 [4 per cell]
Cl 0.000 0.324 0.889 [4 per cell]
Cl 0.000 0.447 0.335 [4 per cell]
Cl 0.154 0.088 0.405 [8 per cell]
Cl 0.161 0.146 0.887 [8 per cell]
Cl 0.161 0.263 0.116 [8 per cell]
Cl 0.163 0.460 0.631 [8 per cell]

Compound: SbAs2Cl13
Source: the Materials Project
Functional: PBE
Structure: optimized geometry

Values from the calculation:
Total DFT energy (no corrections), eV per atom: -2.953
DFT formation energy, eV per formula unit: -17.747

a b c (Å): 10.812 16.537 12.183
angles (deg): 90.00 90.00 90.00
Space group Cmc2_1 (No. 36)
Asymmetric unit:
Sb 0.000 0.210 0.000 [4 per cell]
As 0.000 0.143 0.462 [4 per cell]
As 0.000 0.448 0.150 [4 per cell]
Cl 0.000 0.089 0.111 [4 per cell]
Cl 0.000 0.140 0.636 [4 per cell]
Cl 0.000 0.264 0.409 [4 per cell]
Cl 0.000 0.332 0.893 [4 per cell]
Cl 0.000 0.442 0.335 [4 per cell]
Cl 0.156 0.467 0.631 [8 per cell]
Cl 0.158 0.084 0.402 [8 per cell]
Cl 0.158 0.153 0.883 [8 per cell]
Cl 0.159 0.266 0.118 [8 per cell]

Compound: CoAs
Source: the Materials Project
Functional: PBE
Structure: optimized geometry

Values from the calculation:
Total DFT energy (no corrections), eV per atom: -6.153
DFT formation energy, eV per formula unit: -0.539

a b c (Å): 3.5606 3.5606 5.0358
angles (deg): 90.00 90.00 120.00
Space group P6_3/mmc (No. 194)
Asymmetric unit:
Co 0.0000 0.0000 0.0000 [2 per cell]
As 0.3333 0.6667 0.2500 [2 per cell]

Compound: Co5As2
Source: the Materials Project
Functional: PBE
Structure: optimized geometry

Values from the calculation:
Total DFT energy (no corrections), eV per atom: -6.511
DFT formation energy, eV per formula unit: -0.720

a b c (Å): 6.7868 6.7868 12.3794
angles (deg): 90.00 90.00 120.00
Space group P6_3cm (No. 185)
Asymmetric unit:
Co 0.0000 0.0000 0.0000 [2 per cell]
Co 0.0000 0.2706 0.1703 [6 per cell]
Co 0.0000 0.3069 0.3752 [6 per cell]
Co 0.0000 0.3700 0.9761 [6 per cell]
Co 0.0000 0.3736 0.7651 [6 per cell]
Co 0.3333 0.6667 0.1387 [4 per cell]
As 0.0000 0.0000 0.2978 [2 per cell]
As 0.0000 0.3286 0.5689 [6 per cell]
As 0.3333 0.6667 0.3429 [4 per cell]

Compound: CoAs2
Source: the Materials Project
Functional: PBE
Structure: optimized geometry

Values from the calculation:
Total DFT energy (no corrections), eV per atom: -5.801
DFT formation energy, eV per formula unit: -0.977

a b c (Å): 5.938 5.891 5.994
angles (deg): 90.00 116.00 90.00
Space group P2_1/c (No. 14)
Asymmetric unit:
Co 0.228 0.000 0.214 [4 per cell]
As 0.157 0.136 0.825 [4 per cell]
As 0.347 0.634 0.132 [4 per cell]

Compound: CoAs
Source: the Materials Project
Functional: PBE
Structure: optimized geometry

Values from the calculation:
Total DFT energy (no corrections), eV per atom: -6.184
DFT formation energy, eV per formula unit: -0.601

a b c (Å): 5.316 3.469 5.825
angles (deg): 90.00 90.00 90.00
Space group Pnma (No. 62)
Asymmetric unit:
Co 0.001 0.250 0.198 [4 per cell]
As 0.200 0.250 0.588 [4 per cell]

Compound: CoAs2
Source: the Materials Project
Functional: PBE
Structure: optimized geometry

Values from the calculation:
Total DFT energy (no corrections), eV per atom: -5.783
DFT formation energy, eV per formula unit: -0.921

a b c (Å): 5.124 5.907 3.118
angles (deg): 90.00 90.00 90.00
Space group Pnnm (No. 58)
Asymmetric unit:
Co 0.000 0.000 0.000 [2 per cell]
As 0.189 0.364 0.000 [4 per cell]

Compound: CoAs3
Source: the Materials Project
Functional: PBE
Structure: optimized geometry

Values from the calculation:
Total DFT energy (no corrections), eV per atom: -5.576
DFT formation energy, eV per formula unit: -1.219

a b c (Å): 8.270 8.270 8.270
angles (deg): 90.00 90.00 90.00
Space group Im-3 (No. 204)
Asymmetric unit:
Co 0.250 0.250 0.250 [8 per cell]
As 0.000 0.152 0.341 [24 per cell]

Compound: EuCo2As2
Source: the Materials Project
Functional: PBE
Structure: optimized geometry

Values from the calculation:
Total DFT energy (no corrections), eV per atom: -7.424
DFT formation energy, eV per formula unit: -3.328

a b c (Å): 3.956 3.956 11.149
angles (deg): 90.00 90.00 90.00
Space group I4/mmm (No. 139)
Asymmetric unit:
Eu 0.000 0.000 0.000 [2 per cell]
Co 0.000 0.500 0.250 [4 per cell]
As 0.000 0.000 0.360 [4 per cell]